1.
Computed, not measured: a geometry-optimized MnFeCoP3O12 structure at the PBE with a Hubbard U level of DFT.

a b c (Å): 5.965 9.896 14.580
angles (deg): 89.94 90.00 90.00
Positions (direct):
O1 0.000 0.051 0.552
O2 0.000 0.552 0.952
O3 0.000 0.884 0.756
O4 0.202 0.328 0.923
O5 0.500 0.945 0.114
O6 0.703 0.673 0.741
O7 0.000 0.378 0.077
O8 0.205 0.329 0.259
O9 0.203 0.826 0.577
O10 0.702 0.675 0.412
O11 0.199 0.328 0.590
O12 0.801 0.328 0.590
O13 0.000 0.380 0.409
O14 0.000 0.553 0.616
O15 0.297 0.673 0.741
O16 0.500 0.627 0.925
O17 0.299 0.172 0.425
O18 0.200 0.829 0.910
O19 0.000 0.054 0.884
O20 0.298 0.169 0.090
O21 0.297 0.673 0.078
O22 0.703 0.673 0.078
O23 0.000 0.053 0.219
O24 0.500 0.449 0.387
O25 0.701 0.168 0.756
O26 0.500 0.118 0.242
O27 0.500 0.614 0.588
O28 0.500 0.449 0.049
O29 0.800 0.829 0.910
O30 0.797 0.826 0.577
O31 0.500 0.944 0.786
O32 0.500 0.447 0.719
O33 0.298 0.675 0.412
O34 0.000 0.553 0.284
O35 0.701 0.172 0.425
O36 0.798 0.828 0.242
O37 0.702 0.169 0.090
O38 0.202 0.828 0.242
O39 0.798 0.328 0.923
O40 0.500 0.119 0.910
O41 0.000 0.380 0.743
O42 0.299 0.168 0.756
O43 0.000 0.883 0.090
O44 0.500 0.620 0.259
O45 0.500 0.120 0.577
O46 0.795 0.329 0.259
O47 0.000 0.880 0.425
O48 0.500 0.947 0.451
P1 0.000 0.902 0.860
P2 0.500 0.600 0.364
P3 0.000 0.403 0.639
P4 0.000 0.903 0.193
P5 0.000 0.400 0.305
P6 0.500 0.598 0.692
P7 0.500 0.098 0.806
P8 0.000 0.400 0.972
P9 0.000 0.901 0.529
P10 0.500 0.602 0.030
P11 0.500 0.098 0.472
P12 0.500 0.096 0.138
Mn1 0.000 0.215 0.146
Mn2 0.500 0.283 0.646
Mn3 0.500 0.283 0.979
Mn4 0.000 0.215 0.813
Fe1 0.500 0.278 0.320
Fe2 0.000 0.224 0.487
Fe3 0.000 0.727 0.011
Fe4 0.000 0.724 0.346
Co1 0.500 0.774 0.845
Co2 0.000 0.722 0.683
Co3 0.500 0.781 0.185
Co4 0.500 0.778 0.516

As for the excess energy over the best structure of this formula in the dataset: 6 meV per atom. The value obtained for the spin magnetization is 0.72 μB per atom. Its formation energy is -2.2609 eV per atom.



2.
Computed, not measured: a geometry-optimized MnFeCoP3O12 structure at the PBE with a Hubbard U level of DFT.

a b c (Å): 5.972 9.903 14.546
angles (deg): 89.68 90.00 90.00
Positions (direct):
P1 0.000 0.903 0.194
P2 0.000 0.899 0.532
P3 0.000 0.401 0.971
P4 0.000 0.902 0.860
P5 0.000 0.401 0.305
P6 0.500 0.604 0.030
P7 0.500 0.599 0.692
P8 0.500 0.100 0.139
P9 0.500 0.098 0.472
P10 0.500 0.096 0.807
P11 0.500 0.598 0.362
P12 0.000 0.401 0.639
O1 0.702 0.671 0.410
O2 0.800 0.830 0.911
O3 0.000 0.553 0.284
O4 0.705 0.168 0.425
O5 0.500 0.446 0.385
O6 0.000 0.885 0.756
O7 0.201 0.828 0.244
O8 0.000 0.054 0.219
O9 0.500 0.448 0.717
O10 0.000 0.553 0.951
O11 0.699 0.169 0.756
O12 0.000 0.378 0.409
O13 0.500 0.118 0.577
O14 0.301 0.169 0.756
O15 0.500 0.619 0.588
O16 0.500 0.451 0.048
O17 0.701 0.172 0.090
O18 0.799 0.826 0.580
O19 0.201 0.326 0.591
O20 0.000 0.552 0.616
O21 0.799 0.828 0.244
O22 0.500 0.121 0.244
O23 0.297 0.674 0.078
O24 0.000 0.050 0.554
O25 0.500 0.944 0.452
O26 0.200 0.830 0.911
O27 0.703 0.674 0.078
O28 0.500 0.628 0.924
O29 0.295 0.168 0.425
O30 0.201 0.328 0.923
O31 0.299 0.172 0.090
O32 0.201 0.826 0.580
O33 0.799 0.326 0.591
O34 0.799 0.328 0.923
O35 0.298 0.673 0.741
O36 0.000 0.879 0.427
O37 0.500 0.619 0.257
O38 0.500 0.948 0.118
O39 0.000 0.884 0.091
O40 0.201 0.329 0.256
O41 0.000 0.054 0.884
O42 0.500 0.120 0.911
O43 0.000 0.380 0.744
O44 0.000 0.379 0.076
O45 0.298 0.671 0.410
O46 0.702 0.673 0.741
O47 0.799 0.329 0.256
O48 0.500 0.944 0.787
Mn1 0.500 0.287 0.978
Mn2 0.500 0.287 0.311
Mn3 0.000 0.216 0.813
Mn4 0.000 0.216 0.147
Co1 0.500 0.778 0.512
Co2 0.500 0.782 0.184
Co3 0.000 0.722 0.682
Co4 0.500 0.771 0.843
Fe1 0.500 0.274 0.653
Fe2 0.000 0.723 0.348
Fe3 0.000 0.220 0.487
Fe4 0.000 0.728 0.010

As for the excess energy over the best structure of this formula in the dataset: 313 meV per atom. The value obtained for the spin magnetization is 0.07 μB per atom. Its formation energy is -1.9541 eV per atom.



3.
Computed, not measured: a geometry-optimized MnFeCoP3O12 structure at the PBE with a Hubbard U level of DFT.

a b c (Å): 5.952 9.885 14.609
angles (deg): 89.93 90.00 90.00
Positions (direct):
O1 0.500 0.119 0.908
O2 0.500 0.122 0.577
O3 0.000 0.878 0.090
O4 0.299 0.170 0.091
O5 0.799 0.828 0.244
O6 0.500 0.447 0.718
O7 0.000 0.886 0.754
O8 0.701 0.170 0.091
O9 0.796 0.829 0.576
O10 0.000 0.054 0.883
O11 0.500 0.947 0.779
O12 0.201 0.326 0.259
O13 0.297 0.672 0.742
O14 0.500 0.619 0.924
O15 0.500 0.625 0.258
O16 0.701 0.173 0.757
O17 0.201 0.828 0.244
O18 0.798 0.328 0.591
O19 0.000 0.551 0.287
O20 0.500 0.947 0.450
O21 0.300 0.172 0.424
O22 0.796 0.829 0.905
O23 0.700 0.172 0.424
O24 0.500 0.450 0.381
O25 0.202 0.328 0.591
O26 0.000 0.382 0.077
O27 0.299 0.173 0.757
O28 0.703 0.672 0.742
O29 0.500 0.447 0.052
O30 0.204 0.829 0.576
O31 0.299 0.672 0.077
O32 0.000 0.051 0.213
O33 0.297 0.674 0.410
O34 0.500 0.120 0.243
O35 0.000 0.378 0.411
O36 0.701 0.672 0.077
O37 0.000 0.555 0.951
O38 0.000 0.553 0.617
O39 0.000 0.379 0.743
O40 0.703 0.674 0.410
O41 0.000 0.884 0.425
O42 0.000 0.054 0.551
O43 0.204 0.330 0.926
O44 0.500 0.944 0.119
O45 0.500 0.615 0.590
O46 0.204 0.829 0.905
O47 0.799 0.326 0.259
O48 0.796 0.330 0.926
P1 0.000 0.900 0.194
P2 0.500 0.098 0.804
P3 0.000 0.902 0.858
P4 0.500 0.602 0.362
P5 0.000 0.401 0.639
P6 0.000 0.401 0.973
P7 0.500 0.599 0.694
P8 0.000 0.902 0.528
P9 0.500 0.097 0.473
P10 0.500 0.597 0.027
P11 0.500 0.097 0.139
P12 0.000 0.401 0.307
Mn1 0.500 0.284 0.648
Mn2 0.000 0.216 0.813
Mn3 0.000 0.217 0.482
Mn4 0.000 0.715 0.021
Fe1 0.500 0.276 0.322
Fe2 0.000 0.225 0.155
Fe3 0.000 0.729 0.344
Fe4 0.500 0.275 0.987
Co1 0.500 0.783 0.850
Co2 0.500 0.772 0.177
Co3 0.000 0.721 0.684
Co4 0.500 0.778 0.517

As for the excess energy over the best structure of this formula in the dataset: 5 meV per atom. The value obtained for the spin magnetization is 0.72 μB per atom. Its formation energy is -2.2618 eV per atom.